1.
Li2SnO2F6 | Materials Project | GGA-PBE | relaxed; spin magnetization = 4.0 Bohr magnetons per cell; E_tot = -4.31 eV per atom; mass density = 3.16 Mg/m³; E_form = -22.34 eV/f.u.
1.0
3.4237 4.5666 0.0000
-3.4237 4.5666 0.0000
0.0000 0.2154 4.6889
Li F Sn O
2 6 1 2
direct
0.0000 0.5000 0.5000 Li
0.5000 0.0000 0.5000 Li
0.8254 0.8254 0.2848 F
0.3057 0.8891 0.2202 F
0.1109 0.6943 0.7798 F
0.8891 0.3057 0.2202 F
0.6943 0.1109 0.7798 F
0.1746 0.1746 0.7152 F
0.0000 0.0000 0.0000 Sn
0.3487 0.3487 0.2961 O
0.6513 0.6513 0.7039 O


2.
Ba3GeI2 | Materials Project | GGA-PBE | relaxed; E_tot = -3.46 eV per atom; mass density = 4.49 Mg/m³; E_form = -8.07 eV/f.u.
1.0
0.0000 7.1355 14.9688
5.1114 0.0000 14.9688
5.1114 7.1355 0.0000
Ba I Ge
12 8 4
direct
0.8759 0.3063 0.6619 Ba
0.5881 0.0941 0.3741 Ba
0.3063 0.8759 0.1559 Ba
0.2087 0.7913 0.7913 Ba
0.0413 0.4587 0.4587 Ba
0.7913 0.2087 0.2087 Ba
0.6619 0.1559 0.8759 Ba
0.0941 0.5881 0.9437 Ba
0.3741 0.9437 0.5881 Ba
0.9437 0.3741 0.0941 Ba
0.1559 0.6619 0.3063 Ba
0.4587 0.0413 0.0413 Ba
0.5773 0.5773 0.4227 I
0.4227 0.4227 0.5773 I
0.9960 0.9960 0.5040 I
0.8273 0.8273 0.6727 I
0.5040 0.5040 0.9960 I
0.7460 0.7460 0.2540 I
0.6727 0.6727 0.8273 I
0.2540 0.2540 0.7460 I
0.9159 0.9159 0.0841 Ge
0.0841 0.0841 0.9159 Ge
0.1659 0.1659 0.3341 Ge
0.3341 0.3341 0.1659 Ge


3.
Y2Co3Si | Materials Project | GGA-PBE | relaxed; spin magnetization = 0.3 Bohr magnetons per cell; E_tot = -7.02 eV per atom; mass density = 6.89 Mg/m³; E_form = -2.39 eV/f.u.
1.0
4.1435 -2.6282 0.0000
4.1435 2.6282 0.0000
2.4764 0.0000 4.2359
Co Y Si
3 2 1
direct
0.5000 0.0000 0.0000 Co
0.0000 0.0000 0.5000 Co
0.0000 0.5000 0.0000 Co
0.6268 0.6268 0.6268 Y
0.3732 0.3732 0.3732 Y
0.0000 0.0000 0.0000 Si


4.
Cs2TlPdF6 | Materials Project | GGA-PBE | relaxed; spin magnetization = 1.0 Bohr magnetons per cell; E_tot = -4.11 eV per atom; mass density = 5.59 Mg/m³; E_form = -23.10 eV/f.u.
1.0
0.0000 4.6815 4.6815
4.6815 0.0000 4.6815
4.6815 4.6815 0.0000
F Pd Tl Cs
6 1 1 2
direct
0.7758 0.2242 0.2242 F
0.2242 0.7758 0.7758 F
0.7758 0.2242 0.7758 F
0.2242 0.2242 0.7758 F
0.7758 0.7758 0.2242 F
0.2242 0.7758 0.2242 F
0.0000 0.0000 0.0000 Pd
0.5000 0.5000 0.5000 Tl
0.7500 0.7500 0.7500 Cs
0.2500 0.2500 0.2500 Cs


5.
Nd3Au | Materials Project | GGA-PBE | relaxed; spin magnetization = 0.0 Bohr magnetons per cell; E_tot = -4.60 eV per atom; mass density = 9.06 Mg/m³; E_form = -0.83 eV/f.u.
1.0
-2.3503 2.3503 5.2206
2.3503 -2.3503 5.2206
2.3503 2.3503 -5.2206
Nd Au
3 1
direct
0.2500 0.7500 0.5000 Nd
0.7500 0.2500 0.5000 Nd
0.5000 0.5000 0.0000 Nd
0.0000 0.0000 0.0000 Au


6.
Ca7GeN6 | Materials Project | GGA-PBE | relaxed; spin magnetization = 0.0 Bohr magnetons per cell; E_tot = -5.70 eV per atom; mass density = 3.25 Mg/m³; E_form = -13.33 eV/f.u.
1.0
6.2123 0.0000 0.0000
0.0000 10.9076 0.0000
0.0000 0.0000 13.1986
Ca Ge N
28 4 24
direct
0.0582 0.5000 0.2500 Ca
0.6087 0.7046 0.6170 Ca
0.1087 0.2046 0.8830 Ca
0.8913 0.7954 0.1170 Ca
0.1087 0.7954 0.6170 Ca
0.7692 0.5380 0.0210 Ca
0.3562 0.7284 0.8737 Ca
0.7692 0.4620 0.4790 Ca
0.4418 0.0000 0.7500 Ca
0.9418 0.5000 0.7500 Ca
0.1438 0.2284 0.1263 Ca
0.1438 0.7716 0.3737 Ca
0.7308 0.0380 0.9790 Ca
0.3913 0.2954 0.3830 Ca
0.8562 0.7716 0.8737 Ca
0.2308 0.5380 0.5210 Ca
0.7308 0.9620 0.5210 Ca
0.2692 0.0380 0.4790 Ca
0.6087 0.2954 0.8830 Ca
0.5582 0.0000 0.2500 Ca
0.2308 0.4620 0.9790 Ca
0.6438 0.2716 0.1263 Ca
0.8562 0.2284 0.6263 Ca
0.2692 0.9620 0.0210 Ca
0.3913 0.7046 0.1170 Ca
0.8913 0.2046 0.3830 Ca
0.3562 0.2716 0.6263 Ca
0.6438 0.7284 0.3737 Ca
0.5664 0.5000 0.2500 Ge
0.9336 0.0000 0.7500 Ge
0.4336 0.5000 0.7500 Ge
0.0664 0.0000 0.2500 Ge
0.3882 0.5488 0.3595 N
0.7465 0.3673 0.2935 N
0.7535 0.1327 0.7935 N
0.7465 0.6327 0.2065 N
0.1118 0.9512 0.8595 N
0.0936 0.6664 0.9941 N
0.2465 0.8673 0.2065 N
0.5936 0.1664 0.5059 N
0.2535 0.3673 0.7935 N
0.4064 0.8336 0.4941 N
0.3882 0.4512 0.1405 N
0.6118 0.5488 0.8595 N
0.6118 0.4512 0.6405 N
0.4064 0.1664 0.0059 N
0.8882 0.9512 0.3595 N
0.9064 0.6664 0.4941 N
0.7535 0.8673 0.7065 N
0.2465 0.1327 0.2935 N
0.1118 0.0488 0.6405 N
0.2535 0.6327 0.7065 N
0.8882 0.0488 0.1405 N
0.0936 0.3336 0.5059 N
0.5936 0.8336 0.9941 N
0.9064 0.3336 0.0059 N